Entry 1:
Compound: Mg14CrC
Source: the Materials Project
Functional: PBE
Structure: optimized geometry

* size of the total moment: 4.514 μB/f.u.
* formation enthalpy at 0 K: 343 meV per atom
* space group: P-6m2

Unit cell a=6.248 b=6.248 c=9.793 alpha=90.00 beta=90.00 gamma=120.00
Atoms (fractional coordinates):
Mg 0.000 0.000 0.246
Mg 0.000 0.000 0.754
Mg 0.016 0.508 0.260
Mg 0.016 0.508 0.740
Mg 0.328 0.164 0.500
Mg 0.339 0.169 0.000
Mg 0.492 0.508 0.260
Mg 0.492 0.508 0.740
Mg 0.492 0.984 0.260
Mg 0.492 0.984 0.740
Mg 0.831 0.169 0.000
Mg 0.831 0.661 0.000
Mg 0.836 0.164 0.500
Mg 0.836 0.672 0.500
Cr 0.333 0.667 0.000
C 0.333 0.667 0.500



Entry 2:
Compound: Na3Y4P3S3O24
Source: the Materials Project
Functional: PBE
Structure: optimized geometry

* size of the total moment: 0.000 μB/f.u.
* formation enthalpy at 0 K: -2889 meV per atom
* space group: P1

Unit cell a=9.161 b=9.208 c=24.360 alpha=90.29 beta=90.03 gamma=119.81
Atoms (fractional coordinates):
Na 0.000 0.000 0.000
Na 0.002 0.022 0.500
Na 0.324 0.656 0.167
Na 0.332 0.656 0.666
Na 0.353 0.999 0.250
Na 0.647 0.000 0.750
Na 0.667 0.334 0.333
Na 0.676 0.345 0.833
Na 0.980 0.667 0.414
Y 0.009 0.013 0.350
Y 0.010 0.001 0.149
Y 0.324 0.654 0.317
Y 0.332 0.660 0.817
Y 0.337 0.673 0.517
Y 0.341 0.681 0.017
Y 0.658 0.319 0.983
Y 0.659 0.311 0.483
Y 0.670 0.341 0.183
Y 0.672 0.340 0.684
Y 0.989 0.998 0.851
Y 0.992 0.002 0.650
P 0.000 0.706 0.252
P 0.036 0.373 0.419
P 0.299 0.297 0.249
P 0.330 0.959 0.414
P 0.371 0.037 0.085
P 0.629 0.963 0.915
P 0.664 0.033 0.586
P 0.704 0.705 0.750
P 0.999 0.296 0.750
S 0.036 0.666 0.917
S 0.297 0.000 0.750
S 0.333 0.371 0.918
S 0.371 0.333 0.583
S 0.633 0.666 0.417
S 0.667 0.629 0.082
S 0.702 0.000 0.249
S 0.963 0.631 0.582
S 0.964 0.334 0.083
O 0.009 0.194 0.412
O 0.021 0.818 0.202
O 0.023 0.213 0.698
O 0.023 0.820 0.912
O 0.117 0.645 0.868
O 0.120 0.480 0.367
O 0.132 0.645 0.578
O 0.134 0.483 0.078
O 0.138 0.683 0.967
O 0.145 0.459 0.470
O 0.151 0.473 0.757
O 0.162 0.964 0.411
O 0.169 0.702 0.255
O 0.184 0.201 0.912
O 0.190 0.212 0.198
O 0.193 0.018 0.088
O 0.197 0.980 0.701
O 0.203 0.180 0.588
O 0.215 0.188 0.300
O 0.216 0.019 0.800
O 0.310 0.848 0.465
O 0.313 0.453 0.967
O 0.320 0.851 0.755
O 0.325 0.474 0.255
O 0.351 0.470 0.868
O 0.351 0.484 0.579
O 0.352 0.879 0.361
O 0.353 0.861 0.079
O 0.455 0.318 0.534
O 0.463 0.146 0.035
O 0.470 0.149 0.745
O 0.471 0.300 0.244
O 0.472 0.120 0.138
O 0.473 0.353 0.633
O 0.482 0.137 0.421
O 0.488 0.357 0.922
O 0.506 0.857 0.580
O 0.512 0.643 0.078
O 0.529 0.881 0.862
O 0.530 0.851 0.254
O 0.531 0.700 0.756
O 0.532 0.646 0.367
O 0.537 0.854 0.965
O 0.551 0.686 0.466
O 0.647 0.117 0.639
O 0.647 0.139 0.921
O 0.649 0.530 0.132
O 0.657 0.518 0.423
O 0.678 0.527 0.744
O 0.679 0.149 0.245
O 0.682 0.141 0.535
O 0.687 0.547 0.033
O 0.784 0.981 0.200
O 0.790 0.815 0.699
O 0.802 0.019 0.299
O 0.804 0.816 0.412
O 0.807 0.981 0.913
O 0.811 0.788 0.802
O 0.816 0.799 0.088
O 0.825 0.017 0.588
O 0.831 0.300 0.745
O 0.849 0.528 0.244
O 0.862 0.317 0.034
O 0.864 0.552 0.531
O 0.865 0.370 0.424
O 0.866 0.517 0.923
O 0.877 0.528 0.631
O 0.883 0.356 0.133
O 0.975 0.185 0.801
O 0.977 0.180 0.088
O 0.979 0.785 0.306
O 0.983 0.800 0.588



Entry 3:
Compound: LiNdP4O12
Source: the Materials Project
Functional: PBE
Structure: optimized geometry

* size of the total moment: 0.001 μB/f.u.
* formation enthalpy at 0 K: -2926 meV per atom
* space group: C2/c

Unit cell a=9.087 b=9.087 c=9.916 alpha=123.05 beta=123.05 gamma=46.52
Atoms (fractional coordinates):
Li 0.203 0.797 0.750
Li 0.797 0.203 0.250
Nd 0.298 0.702 0.250
Nd 0.702 0.298 0.750
P 0.084 0.193 0.614
P 0.193 0.084 0.114
P 0.197 0.508 0.802
P 0.492 0.803 0.698
P 0.508 0.197 0.302
P 0.803 0.492 0.198
P 0.807 0.916 0.886
P 0.916 0.807 0.386
O 0.037 0.280 0.230
O 0.062 0.074 0.430
O 0.074 0.062 0.930
O 0.101 0.673 0.320
O 0.160 0.329 0.648
O 0.259 0.486 0.967
O 0.280 0.037 0.730
O 0.327 0.899 0.180
O 0.329 0.160 0.148
O 0.331 0.519 0.768
O 0.481 0.669 0.732
O 0.486 0.259 0.467
O 0.514 0.741 0.533
O 0.519 0.331 0.268
O 0.669 0.481 0.232
O 0.671 0.840 0.852
O 0.673 0.101 0.820
O 0.720 0.963 0.270
O 0.741 0.514 0.033
O 0.840 0.671 0.352
O 0.899 0.327 0.680
O 0.926 0.938 0.070
O 0.938 0.926 0.570
O 0.963 0.720 0.770



> Look up the size of the total moment of the second one.

0.000 μB/f.u.



> What is the formula in the second record?

Na3Y4P3S3O24



> Among the records above, which one has the highest formation enthalpy at 0 K?

Mg14CrC